Compound: Tm4C7
Source: Materials Project
Functional: r2SCAN
Structure: optimized geometry

Computed properties:
- Final energy: -19.5999 eV/atom
- Total magnetization: 0.00 μB/atom
- Density: 8.41 Mg/m³

Lattice parameters (Å, degrees): 3.626 13.536 6.329 90.00 105.04 90.00
Space group P2_1/c (No. 14)
Symmetry-distinct sites (fractional):
Tm (0.056, 0.161, 0.161)
Tm (0.367, 0.055, 0.740)
C (0.000, 0.000, 0.000)
C (0.267, 0.604, 0.050)
C (0.378, 0.697, 0.045)
C (0.465, 0.215, 0.924)


Compound: DyCu2
Source: Materials Project
Functional: r2SCAN
Structure: optimized geometry

Computed properties:
- Final energy: -18.1653 eV/atom
- Total magnetization: 0.00 μB/atom
- Density: 9.21 Mg/m³

Lattice parameters (Å, degrees): 4.274 6.735 7.254 90.00 90.00 90.00
Space group Imma (No. 74)
Symmetry-distinct sites (fractional):
Dy (0.000, 0.250, 0.043)
Cu (0.000, 0.051, 0.665)


Compound: BaF2
Source: Materials Project
Functional: r2SCAN
Structure: optimized geometry

Computed properties:
- Final energy: -15.0234 eV/atom
- Total magnetization: 0.00 μB/atom
- Density: 4.83 Mg/m³

Lattice parameters (Å, degrees): 6.226 6.226 6.226 90.00 90.00 90.00
Space group Fm-3m (No. 225)
Symmetry-distinct sites (fractional):
Ba (0.000, 0.000, 0.000)
F (0.250, 0.250, 0.250)


Compound: RbYb3
Source: Materials Project
Functional: r2SCAN
Structure: optimized geometry

Computed properties:
- Final energy: -30.1905 eV/atom
- Total magnetization: 0.49 μB/atom
- Density: 7.03 Mg/m³

Lattice parameters (Å, degrees): 5.262 5.262 10.313 90.00 90.00 90.00
Space group I4/mmm (No. 139)
Symmetry-distinct sites (fractional):
Rb (0.000, 0.000, 0.000)
Yb (0.000, 0.000, 0.500)
Yb (0.000, 0.500, 0.250)


Compound: Rb2PdF6
Source: Materials Project
Functional: r2SCAN
Structure: optimized geometry

Computed properties:
- Final energy: -10.0400 eV/atom
- Total magnetization: 0.00 μB/atom
- Density: 4.25 Mg/m³

Lattice parameters (Å, degrees): 8.488 8.488 8.488 90.00 90.00 90.00
Space group Fm-3m (No. 225)
Symmetry-distinct sites (fractional):
Rb (0.250, 0.250, 0.250)
Pd (0.000, 0.000, 0.000)
F (0.000, 0.000, 0.227)


Compound: SiO2
Source: Materials Project
Functional: r2SCAN
Structure: optimized geometry

Computed properties:
- Final energy: -9.9310 eV/atom
- Total magnetization: 0.00 μB/atom
- Density: 2.30 Mg/m³

Lattice parameters (Å, degrees): 10.131 10.131 10.131 90.00 90.00 90.00
Space group Ia-3d (No. 230)
Symmetry-distinct sites (fractional):
Si (0.000, 0.250, 0.375)
O (0.032, 0.125, 0.782)


Compound: GdFe5
Source: Materials Project
Functional: r2SCAN
Structure: optimized geometry

Computed properties:
- Final energy: -19.1467 eV/atom
- Total magnetization: 3.24 μB/atom
- Density: 8.00 Mg/m³

Lattice parameters (Å, degrees): 5.1666 5.1666 3.9170 90.00 90.00 120.00
Space group P6/mmm (No. 191)
Symmetry-distinct sites (fractional):
Gd (0.0000, 0.0000, 0.0000)
Fe (0.0000, 0.5000, 0.5000)
Fe (0.3333, 0.6667, 0.0000)


Compound: TmTc2
Source: Materials Project
Functional: r2SCAN
Structure: optimized geometry

Computed properties:
- Final energy: -29.2909 eV/atom
- Total magnetization: 0.00 μB/atom
- Density: 11.32 Mg/m³

Lattice parameters (Å, degrees): 5.3090 5.3090 8.7714 90.00 90.00 120.00
Space group P6_3/mmc (No. 194)
Symmetry-distinct sites (fractional):
Tm (0.3333, 0.6667, 0.0629)
Tc (0.0000, 0.0000, 0.0000)
Tc (0.1718, 0.3437, 0.7500)


Compound: Ho5Mg
Source: Materials Project
Functional: r2SCAN
Structure: optimized geometry

Computed properties:
- Final energy: -28.0716 eV/atom
- Total magnetization: 0.00 μB/atom
- Density: 7.92 Mg/m³

Lattice parameters (Å, degrees): 6.0998 6.0998 16.5756 90.00 90.00 120.00
Space group R32 (No. 155, hexagonal axes)
Symmetry-distinct sites (fractional):
Ho (0.0000, 0.0000, 0.1680)
Ho (0.0000, 0.6620, 0.0000)
Mg (0.0000, 0.0000, 0.5000)


Compound: Mg4AlB10
Source: Materials Project
Functional: r2SCAN
Structure: optimized geometry

Computed properties:
- Final energy: -6.6382 eV/atom
- Total magnetization: 0.00 μB/atom
- Density: 2.77 Mg/m³

Lattice parameters (Å, degrees): 3.0507 3.0507 17.2638 90.00 90.00 120.00
Space group P6/mmm (No. 191)
Symmetry-distinct sites (fractional):
Mg (0.0000, 0.0000, 0.1017)
Mg (0.0000, 0.0000, 0.3045)
Al (0.0000, 0.0000, 0.5000)
B (0.3333, 0.6667, 0.0000)
B (0.3333, 0.6667, 0.2040)
B (0.3333, 0.6667, 0.4093)


Compound: DyLuIr2
Source: Materials Project
Functional: r2SCAN
Structure: optimized geometry

Computed properties:
- Final energy: -44.7156 eV/atom
- Total magnetization: 0.04 μB/atom
- Density: 15.65 Mg/m³

Lattice parameters (Å, degrees): 6.741 6.741 6.741 90.00 90.00 90.00
Space group Fm-3m (No. 225)
Symmetry-distinct sites (fractional):
Dy (0.000, 0.000, 0.000)
Lu (0.000, 0.000, 0.500)
Ir (0.250, 0.250, 0.250)


Compound: CdAsPd5
Source: Materials Project
Functional: r2SCAN
Structure: optimized geometry

Computed properties:
- Final energy: -21.7776 eV/atom
- Total magnetization: 0.00 μB/atom
- Density: 10.53 Mg/m³

Lattice parameters (Å, degrees): 4.008 4.008 7.064 90.00 90.00 90.00
Space group P4/mmm (No. 123)
Symmetry-distinct sites (fractional):
Cd (0.000, 0.000, 0.000)
As (0.500, 0.500, 0.500)
Pd (0.000, 0.500, 0.290)
Pd (0.500, 0.500, 0.000)